No. 1
Here is a geometry-optimized Rb2TaHgF6 structure from the Materials Project. Energies are from PBE-GGA.

Cell and atoms, written as CIF:
```
data_Rb2TaHgF6
_symmetry_space_group_name_H-M 'F m -3 m'
_symmetry_Int_Tables_number 225
_symmetry_space_group_name_Hall '-F 4 2 3'
_cell_length_a 9.945
_cell_length_b 9.945
_cell_length_c 9.945
_cell_angle_alpha 90.00
_cell_angle_beta 90.00
_cell_angle_gamma 90.00
loop_
_atom_site_label
_atom_site_type_symbol
_atom_site_fract_x
_atom_site_fract_y
_atom_site_fract_z
_atom_site_occupancy
Rb1 Rb 0.250 0.250 0.250 1
Ta1 Ta 0.000 0.000 0.000 1
Hg1 Hg 0.000 0.000 0.500 1
F1 F 0.000 0.000 0.201 1
```

Output
The calculation puts the total magnetization at 1.00 μB per formula unit. Its total energy is -204.1 eV/cell.

***

No. 2
Here is a geometry-optimized Rb2YHgF6 structure from the Materials Project. Energies are from PBE-GGA.

Cell and atoms, written as CIF:
```
data_Rb2YHgF6
_symmetry_space_group_name_H-M 'F m -3 m'
_symmetry_Int_Tables_number 225
_symmetry_space_group_name_Hall '-F 4 2 3'
_cell_length_a 9.552
_cell_length_b 9.552
_cell_length_c 9.552
_cell_angle_alpha 90.00
_cell_angle_beta 90.00
_cell_angle_gamma 90.00
loop_
_atom_site_label
_atom_site_type_symbol
_atom_site_fract_x
_atom_site_fract_y
_atom_site_fract_z
_atom_site_occupancy
Rb1 Rb 0.250 0.250 0.250 1
Y1 Y 0.000 0.000 0.000 1
Hg1 Hg 0.000 0.000 0.500 1
F1 F 0.000 0.000 0.229 1
```

Output
The calculation puts the total magnetization at 0.99 μB per formula unit. Its total energy is -194.0 eV/cell.

***

No. 3
Here is a geometry-optimized Hg3RhF6 structure from the Materials Project. Energies are from PBE-GGA.

Cell and atoms, written as CIF:
```
data_Hg3RhF6
_symmetry_space_group_name_H-M 'P -1'
_symmetry_Int_Tables_number 2
_cell_length_a 5.490
_cell_length_b 8.345
_cell_length_c 13.044
_cell_angle_alpha 100.04
_cell_angle_beta 93.21
_cell_angle_gamma 103.02
loop_
_symmetry_equiv_pos_as_xyz
'x,y,z'
'-x,-y,-z'
loop_
_atom_site_label
_atom_site_type_symbol
_atom_site_fract_x
_atom_site_fract_y
_atom_site_fract_z
_atom_site_occupancy
Hg1 Hg 0.000 0.000 0.000 1
Hg2 Hg 0.000 0.500 0.500 1
Hg3 Hg 0.500 0.000 0.000 1
Rh1 Rh 0.000 0.500 0.000 1
F1 F 0.059 0.543 0.653 1
F2 F 0.073 0.299 0.927 1
F3 F 0.291 0.634 0.959 1
```

Output
The calculation puts the total magnetization at 2.20 μB per formula unit. Its total energy is -29.9 eV/cell.

***

No. 4
Here is a geometry-optimized HgRhF6 structure from the Materials Project. Energies are from PBE-GGA.

Cell and atoms, written as CIF:
```
data_HgRhF6
_symmetry_space_group_name_H-M 'R -3'
_symmetry_Int_Tables_number 148
_symmetry_space_group_name_Hall '-R 3'
_cell_length_a 5.2898
_cell_length_b 5.2898
_cell_length_c 14.8597
_cell_angle_alpha 90.00
_cell_angle_beta 90.00
_cell_angle_gamma 120.00
loop_
_atom_site_label
_atom_site_type_symbol
_atom_site_fract_x
_atom_site_fract_y
_atom_site_fract_z
_atom_site_occupancy
Hg1 Hg 0.0000 0.0000 0.0000 1
Rh1 Rh 0.0000 0.0000 0.5000 1
F1 F 0.0172 0.7089 0.4236 1
```

Output
Its total energy is -92.0 eV/cell.

***

No. 5
Here is a geometry-optimized Hg3S2F2 structure from the Materials Project. Energies are from PBE-GGA.

Cell and atoms, written as CIF:
```
data_Hg3S2F2
_symmetry_space_group_name_H-M 'I 21 3'
_symmetry_Int_Tables_number 199
_symmetry_space_group_name_Hall 'I 2b 2c 3'
_cell_length_a 8.400
_cell_length_b 8.400
_cell_length_c 8.400
_cell_angle_alpha 90.00
_cell_angle_beta 90.00
_cell_angle_gamma 90.00
loop_
_atom_site_label
_atom_site_type_symbol
_atom_site_fract_x
_atom_site_fract_y
_atom_site_fract_z
_atom_site_occupancy
Hg1 Hg 0.000 0.250 0.331 1
S1 S 0.216 0.284 0.716 1
F1 F 0.017 0.017 0.017 1
```

Output
The largest piezoelectric modulus is 0.387 C/m². Its total energy is -73.0 eV/cell.

***

No. 6
Here is a geometry-optimized SiHg3S2F6 structure from the Materials Project. Energies are from PBE-GGA.

Cell and atoms, written as CIF:
```
data_SiHg3S2F6
_symmetry_space_group_name_H-M 'P -3 m 1'
_symmetry_Int_Tables_number 164
_symmetry_space_group_name_Hall '-P 3 2"'
_cell_length_a 7.4049
_cell_length_b 7.4049
_cell_length_c 4.9098
_cell_angle_alpha 90.00
_cell_angle_beta 90.00
_cell_angle_gamma 120.00
loop_
_atom_site_label
_atom_site_type_symbol
_atom_site_fract_x
_atom_site_fract_y
_atom_site_fract_z
_atom_site_occupancy
Si1 Si 0.0000 0.0000 0.0000 1
Hg1 Hg 0.0000 0.5000 0.5000 1
S1 S 0.3333 0.6667 0.7139 1
F1 F 0.1102 0.2204 0.7988 1
```

Output
The calculation puts the total magnetization at 0.00 μB per formula unit. Its total energy is -47.3 eV/cell.

***

No. 7
Here is a geometry-optimized HgSb2F13 structure from the Materials Project. Energies are from PBE-GGA.

Cell and atoms, written as CIF:
```
data_HgSb2F13
_symmetry_space_group_name_H-M 'P 1 21/c 1'
_symmetry_Int_Tables_number 14
_cell_length_a 11.237
_cell_length_b 9.991
_cell_length_c 9.915
_cell_angle_alpha 90.00
_cell_angle_beta 111.21
_cell_angle_gamma 90.00
loop_
_symmetry_equiv_pos_as_xyz
'x,y,z'
'-x,-y,-z'
'-x,y+1/2,-z+1/2'
'x,-y+1/2,z+1/2'
loop_
_atom_site_label
_atom_site_type_symbol
_atom_site_fract_x
_atom_site_fract_y
_atom_site_fract_z
_atom_site_occupancy
Hg1 Hg 0.240 0.090 0.481 1
Sb1 Sb 0.055 0.731 0.882 1
Sb2 Sb 0.415 0.083 0.231 1
F1 F 0.032 0.566 0.779 1
F2 F 0.042 0.153 0.509 1
F3 F 0.080 0.615 0.498 1
F4 F 0.105 0.206 0.259 1
F5 F 0.153 0.695 0.278 1
F6 F 0.208 0.643 0.017 1
F7 F 0.256 0.044 0.735 1
F8 F 0.283 0.191 0.089 1
F9 F 0.286 0.514 0.782 1
F10 F 0.403 0.204 0.378 1
F11 F 0.403 0.545 0.587 1
F12 F 0.456 0.020 0.622 1
F13 F 0.457 0.688 0.300 1
```

Output
The calculation puts the total magnetization at 1.00 μB per formula unit. Its total energy is -255.6 eV/cell.

***

No. 8
Here is a geometry-optimized HgSb3XeF17 structure from the Materials Project. Energies are from PBE-GGA.

Cell and atoms, written as CIF:
```
data_HgSb3XeF17
_symmetry_space_group_name_H-M 'P 1 21/c 1'
_symmetry_Int_Tables_number 14
_cell_length_a 14.084
_cell_length_b 10.754
_cell_length_c 10.821
_cell_angle_alpha 90.00
_cell_angle_beta 94.47
_cell_angle_gamma 90.00
loop_
_symmetry_equiv_pos_as_xyz
'x,y,z'
'-x,-y,-z'
'-x,y+1/2,-z+1/2'
'x,-y+1/2,z+1/2'
loop_
_atom_site_label
_atom_site_type_symbol
_atom_site_fract_x
_atom_site_fract_y
_atom_site_fract_z
_atom_site_occupancy
Hg1 Hg 0.188 0.137 0.458 1
Sb1 Sb 0.025 0.128 0.708 1
Sb2 Sb 0.260 0.520 0.569 1
Sb3 Sb 0.424 0.243 0.234 1
Xe1 Xe 0.294 0.589 0.990 1
F1 F 0.012 0.040 0.856 1
F2 F 0.052 0.214 0.554 1
F3 F 0.054 0.511 0.890 1
F4 F 0.082 0.732 0.776 1
F5 F 0.107 0.248 0.294 1
F6 F 0.137 0.035 0.675 1
F7 F 0.155 0.617 0.508 1
F8 F 0.202 0.038 0.212 1
F9 F 0.218 0.131 0.986 1
F10 F 0.315 0.178 0.648 1
F11 F 0.318 0.650 0.667 1
F12 F 0.334 0.558 0.436 1
F13 F 0.340 0.193 0.358 1
F14 F 0.377 0.086 0.137 1
F15 F 0.462 0.112 0.822 1
F16 F 0.481 0.638 0.190 1
F17 F 0.496 0.223 0.597 1
```

Output
The calculation puts the total magnetization at 0.00 μB per formula unit. Its total energy is -360.3 eV/cell.

***

No. 9
Here is a geometry-optimized Hg3Se2F2 structure from the Materials Project. Energies are from PBE-GGA.

Cell and atoms, written as CIF:
```
data_Hg3Se2F2
_symmetry_space_group_name_H-M 'I 21 3'
_symmetry_Int_Tables_number 199
_symmetry_space_group_name_Hall 'I 2b 2c 3'
_cell_length_a 8.628
_cell_length_b 8.628
_cell_length_c 8.628
_cell_angle_alpha 90.00
_cell_angle_beta 90.00
_cell_angle_gamma 90.00
loop_
_atom_site_label
_atom_site_type_symbol
_atom_site_fract_x
_atom_site_fract_y
_atom_site_fract_z
_atom_site_occupancy
Hg1 Hg 0.000 0.250 0.915 1
Se1 Se 0.040 0.460 0.540 1
F1 F 0.238 0.238 0.238 1
```

Output
The largest piezoelectric modulus is 0.258 C/m². Its total energy is -68.6 eV/cell.

***

No. 10
Here is a geometry-optimized Ta2Hg2F11 structure from the Materials Project. Energies are from PBE-GGA.

Cell and atoms, written as CIF:
```
data_Ta2Hg2F11
_symmetry_space_group_name_H-M 'C 1 2/c 1'
_symmetry_Int_Tables_number 15
_cell_length_a 23.884
_cell_length_b 7.732
_cell_length_c 15.034
_cell_angle_alpha 90.00
_cell_angle_beta 126.78
_cell_angle_gamma 90.00
loop_
_symmetry_equiv_pos_as_xyz
'x,y,z'
'-x,-y,-z'
'-x,y,-z+1/2'
'x,-y,z+1/2'
'x+1/2,y+1/2,z'
'-x+1/2,-y+1/2,-z'
'-x+1/2,y+1/2,-z+1/2'
'x+1/2,-y+1/2,z+1/2'
loop_
_atom_site_label
_atom_site_type_symbol
_atom_site_fract_x
_atom_site_fract_y
_atom_site_fract_z
_atom_site_occupancy
Ta1 Ta 0.106 0.193 0.129 1
Ta2 Ta 0.149 0.226 0.517 1
Hg1 Hg 0.066 0.266 0.785 1
Hg2 Hg 0.206 0.263 0.874 1
F1 F 0.028 0.273 0.987 1
F2 F 0.048 0.052 0.147 1
F3 F 0.061 0.339 0.423 1
F4 F 0.101 0.023 0.538 1
F5 F 0.109 0.383 0.209 1
F6 F 0.127 0.089 0.393 1
F7 F 0.161 0.317 0.645 1
F8 F 0.167 0.283 0.096 1
F9 F 0.186 0.077 0.252 1
F10 F 0.196 0.403 0.500 1
F11 F 0.232 0.089 0.610 1
```

Output
Its total energy is -695.2 eV/cell.

***

No. 11
Here is a geometry-optimized TaHg3F6 structure from the Materials Project. Energies are from PBE-GGA.

Cell and atoms, written as CIF:
```
data_TaHg3F6
_symmetry_space_group_name_H-M 'P -3 1 m'
_symmetry_Int_Tables_number 162
_symmetry_space_group_name_Hall '-P 3 2'
_cell_length_a 5.3055
_cell_length_b 5.3055
_cell_length_c 7.7001
_cell_angle_alpha 90.00
_cell_angle_beta 90.00
_cell_angle_gamma 120.00
loop_
_atom_site_label
_atom_site_type_symbol
_atom_site_fract_x
_atom_site_fract_y
_atom_site_fract_z
_atom_site_occupancy
Ta1 Ta 0.0000 0.0000 0.0000 1
Hg1 Hg 0.0000 0.0000 0.5000 1
Hg2 Hg 0.3333 0.6667 0.5000 1
F1 F 0.0000 0.2924 0.1496 1
```

Output
Its total energy is -46.3 eV/cell.

***

No. 12
Here is a geometry-optimized TaHg2F6 structure from the Materials Project. Energies are from PBE-GGA.

Cell and atoms, written as CIF:
```
data_TaHg2F6
_symmetry_space_group_name_H-M 'C 1 2/c 1'
_symmetry_Int_Tables_number 15
_cell_length_a 10.810
_cell_length_b 10.815
_cell_length_c 7.991
_cell_angle_alpha 90.00
_cell_angle_beta 130.53
_cell_angle_gamma 90.00
loop_
_symmetry_equiv_pos_as_xyz
'x,y,z'
'-x,-y,-z'
'-x,y,-z+1/2'
'x,-y,z+1/2'
'x+1/2,y+1/2,z'
'-x+1/2,-y+1/2,-z'
'-x+1/2,y+1/2,-z+1/2'
'x+1/2,-y+1/2,z+1/2'
loop_
_atom_site_label
_atom_site_type_symbol
_atom_site_fract_x
_atom_site_fract_y
_atom_site_fract_z
_atom_site_occupancy
Ta1 Ta 0.000 0.124 0.250 1
Hg1 Hg 0.000 0.500 0.000 1
Hg2 Hg 0.250 0.250 0.000 1
F1 F 0.000 0.053 0.750 1
F2 F 0.000 0.303 0.250 1
F3 F 0.156 0.126 0.568 1
F4 F 0.176 0.125 0.245 1
```

Output
The calculation puts the total magnetization at 0.00 μB per formula unit. Its total energy is -179.4 eV/cell.